Record 1
A plane-wave DFT calculation with GGA+U was carried out for MgFe4O4F4 after structural relaxation.

Properties
Crystal system = triclinic
ΔE to the lowest computed polymorph = 0.070 eV/atom
Total magnetic moment = 18.00 Bohr magnetons per cell
ΔH_f (0 K) = -2138 meV/atom

POSCAR file:
```
MgFe4O4F4
1.0
5.4925 -0.1618 0.1341
-0.1676 5.3474 0.1442
0.1816 0.1793 5.8210
Mg Fe O F
1 4 4 4
Cartesian
2.9595 0.2602 4.4086
5.1099 4.5260 0.2974
0.6131 0.2442 2.7210
2.3541 2.9555 1.5982
2.2271 3.0115 4.5003
0.7184 3.9335 1.5589
1.0255 4.5538 4.5498
2.1511 1.6152 3.0124
3.5215 3.9644 5.9232
2.1614 1.3450 0.1165
3.3161 4.1366 3.0123
5.0020 0.7558 1.2650
4.8008 0.8247 4.4308
```

---

Record 2
A plane-wave DFT calculation with GGA+U was carried out for MgFe10O9F11 after structural relaxation.

Properties
Crystal system = triclinic
ΔE to the lowest computed polymorph = 0.005 eV/atom
Total magnetic moment = 46.84 Bohr magnetons per cell
ΔH_f (0 K) = -2082 meV/atom

POSCAR file:
```
MgFe10O9F11
1.0
4.8749 -0.2299 0.0033
-0.2302 4.8983 0.0066
0.0105 0.0233 15.3434
Mg Fe O F
1 10 9 11
Cartesian
4.7434 2.1947 4.7326
4.6273 4.6508 15.2579
4.6306 4.6510 2.9558
4.6139 4.6408 6.3838
0.1918 0.0682 9.3736
0.1458 0.0998 12.2280
2.3060 2.3156 1.5501
2.2993 2.2550 7.5863
2.3084 2.3262 4.5823
2.0631 2.4980 10.7635
2.2929 2.2878 13.9285
0.8353 3.9583 10.7221
1.3373 1.3893 0.0758
1.1236 1.5621 3.0708
1.1521 1.5998 6.1174
1.4208 1.5474 9.1758
1.4856 1.5630 12.3561
3.2674 3.2075 0.0442
3.4859 3.0691 3.0681
3.4667 3.0033 6.1463
0.8334 3.9838 1.5078
0.8677 4.0851 4.5090
0.9612 3.9718 7.8253
0.8362 3.8927 13.9133
3.3353 3.2791 9.2154
3.2811 3.3326 12.3421
3.7712 0.6258 1.5053
3.7568 0.7199 7.8622
3.7338 0.5402 4.5080
3.8452 0.7938 13.8875
3.8899 0.8126 10.6877
```

---

Copy entry 1 word for word.
A plane-wave DFT calculation with GGA+U was carried out for MgFe4O4F4 after structural relaxation.

Properties
Crystal system = triclinic
ΔE to the lowest computed polymorph = 0.070 eV/atom
Total magnetic moment = 18.00 Bohr magnetons per cell
ΔH_f (0 K) = -2138 meV/atom

POSCAR file:
```
MgFe4O4F4
1.0
5.4925 -0.1618 0.1341
-0.1676 5.3474 0.1442
0.1816 0.1793 5.8210
Mg Fe O F
1 4 4 4
Cartesian
2.9595 0.2602 4.4086
5.1099 4.5260 0.2974
0.6131 0.2442 2.7210
2.3541 2.9555 1.5982
2.2271 3.0115 4.5003
0.7184 3.9335 1.5589
1.0255 4.5538 4.5498
2.1511 1.6152 3.0124
3.5215 3.9644 5.9232
2.1614 1.3450 0.1165
3.3161 4.1366 3.0123
5.0020 0.7558 1.2650
4.8008 0.8247 4.4308
```

---

Q: Which formula does entry 1 have?
A: MgFe4O4F4

---

Q: What is the ΔH_f (0 K) in the first record?
A: -2138 meV/atom

---

Q: Among the records above, which one has the highest ΔH_f (0 K)?
A: MgFe10O9F11